# Nb3Bi10Cl18

An optimized crystal structure of Nb3Bi10Cl18 (PBE, the Materials Project).

## Properties
Corrected total energy (MP2020 scheme), eV for the cell shown: -274.0
M_tot, μB/f.u.: 0.13
Symmetry: P3
Energy of formation, eV per atom: -1.1140

abc: 13.9127 13.9127 11.0226
angles: 90.00 90.00 120.00
Last column: nearest neighbours and their distance in Å.
Positions (direct):
Nb (0.7816, 0.1177, 0.7461)  6 Cl 2.38-2.50
Nb (0.2187, 0.8829, 0.2469)  6 Cl 2.37-2.51
Nb (0.6642, 0.7813, 0.2469)  6 Cl 2.37-2.51
Nb (0.1171, 0.3358, 0.2469)  6 Cl 2.37-2.51
Nb (0.3362, 0.2184, 0.7461)  6 Cl 2.38-2.50
Nb (0.8823, 0.6638, 0.7461)  6 Cl 2.38-2.50
Bi (0.6968, 0.4810, 0.0800)  4 Bi 3.13-3.26, 2 Cl 3.42-3.43
Bi (0.4806, 0.7842, 0.5785)  4 Bi 3.14-3.25, 2 Cl 3.40-3.42
Bi (0.1094, 0.4870, 0.7499)  4 Bi 3.14-3.16
Bi (0.3036, 0.5194, 0.5785)  4 Bi 3.14-3.25, 2 Cl 3.40-3.42
Bi (0.5194, 0.2161, 0.4224)  4 Bi 3.15-3.25, 2 Cl 3.43
Bi (0.6218, 0.1088, 0.2503)  4 Bi 3.13-3.16
Bi (0.7841, 0.3032, 0.0800)  4 Bi 3.13-3.26, 2 Cl 3.42-3.43
Bi (0.0000, 0.0000, 0.3974)  3 Cl 2.87
Bi (0.4805, 0.7837, 0.9226)  4 Bi 3.14-3.25, 2 Cl 3.42-3.43
Bi (0.4871, 0.3782, 0.2503)  4 Bi 3.13-3.16
Bi (0.5130, 0.6224, 0.7499)  4 Bi 3.14-3.16
Bi (0.8912, 0.5129, 0.2503)  4 Bi 3.13-3.16
Bi (0.6968, 0.4806, 0.4224)  4 Bi 3.15-3.25, 2 Cl 3.43
Bi (0.7839, 0.3032, 0.4224)  4 Bi 3.15-3.25, 2 Cl 3.43
Bi (0.5190, 0.2159, 0.0800)  4 Bi 3.13-3.26, 2 Cl 3.42-3.43
Bi (0.3032, 0.5195, 0.9226)  4 Bi 3.14-3.25, 2 Cl 3.42-3.43
Bi (0.3776, 0.8906, 0.7499)  4 Bi 3.14-3.16
Bi (0.0000, 0.0000, 0.8662)  3 Cl 2.88
Bi (0.2163, 0.6968, 0.9226)  4 Bi 3.14-3.25, 2 Cl 3.42-3.43
Bi (0.2158, 0.6964, 0.5785)  4 Bi 3.14-3.25, 2 Cl 3.40-3.42
Cl (0.0674, 0.4326, 0.0907)  1 Nb 2.49
Cl (0.0680, 0.4302, 0.4088)  1 Nb 2.51
Cl (0.0699, 0.8199, 0.7536)  1 Nb 2.42
Cl (0.1763, 0.2576, 0.0940)  1 Nb 2.37
Cl (0.2566, 0.0820, 0.5911)  1 Nb 2.38
Cl (0.4318, 0.3659, 0.5905)  1 Nb 2.49
Cl (0.8149, 0.7428, 0.2525)  1 Nb 2.41
Cl (0.6387, 0.0677, 0.9081)  1 Nb 2.50
Cl (0.6957, 0.5048, 0.7544)  1 Nb 2.43
Cl (0.3034, 0.4955, 0.2576)  1 Nb 2.43
Cl (0.4290, 0.3613, 0.9081)  1 Nb 2.50
Cl (0.2321, 0.0740, 0.9002)  1 Nb 2.47
Cl (0.8254, 0.7434, 0.5911)  1 Nb 2.38
Cl (0.7667, 0.9235, 0.4043)  1 Nb 2.48
Cl (0.5674, 0.6348, 0.0907)  1 Nb 2.49
Cl (0.4952, 0.1909, 0.7544)  1 Nb 2.43
Cl (0.0813, 0.8237, 0.0940)  1 Nb 2.37
Cl (0.3652, 0.9326, 0.0907)  1 Nb 2.49
Cl (0.0765, 0.8432, 0.4043)  1 Nb 2.48
Cl (0.1920, 0.6966, 0.2576)  1 Nb 2.43
Cl (0.3622, 0.9320, 0.4088)  1 Nb 2.51
Cl (0.9341, 0.5682, 0.5905)  1 Nb 2.49
Cl (0.1801, 0.2500, 0.7536)  1 Nb 2.42
Cl (0.9323, 0.5710, 0.9081)  1 Nb 2.50
Cl (0.7500, 0.9301, 0.7536)  1 Nb 2.42
Cl (0.9180, 0.1746, 0.5911)  1 Nb 2.38
Cl (0.8419, 0.7679, 0.9002)  1 Nb 2.47
Cl (0.2572, 0.0722, 0.2525)  1 Nb 2.41
Cl (0.9260, 0.1581, 0.9002)  1 Nb 2.47
Cl (0.5045, 0.8080, 0.2576)  1 Nb 2.43
Cl (0.9278, 0.1851, 0.2525)  1 Nb 2.41
Cl (0.6341, 0.0659, 0.5905)  1 Nb 2.49
Cl (0.7424, 0.9187, 0.0940)  1 Nb 2.37
Cl (0.5698, 0.6378, 0.4088)  1 Nb 2.51
Cl (0.1568, 0.2333, 0.4043)  1 Nb 2.48
Cl (0.8091, 0.3043, 0.7544)  1 Nb 2.43



# Nb2Bi3Pb2ClO11

An optimized crystal structure of Nb2Bi3Pb2ClO11 (PBE, the Materials Project).

## Properties
Corrected total energy (MP2020 scheme), eV for the cell shown: -135.5
M_tot, μB/f.u.: 0.00
Symmetry: P4/mmm
Energy of formation, eV per atom: -2.1023

abc: 3.9443 3.9443 19.7958
angles: 90.00 90.00 90.00
Last column: nearest neighbours and their distance in Å.
Positions (direct):
O (0.0000, 0.5000, 0.3419)  2 Bi 2.26, 2 Pb 2.43
O (0.5000, 0.0000, 0.0941)  2 Nb 2.02
O (0.0000, 0.5000, 0.9059)  2 Nb 2.02
O (0.5000, 0.5000, 0.7929)  1 Nb 1.81
O (0.5000, 0.0000, 0.6581)  2 Bi 2.26, 2 Pb 2.43
O (0.5000, 0.0000, 0.3419)  2 Bi 2.26, 2 Pb 2.43
O (0.0000, 0.5000, 0.0941)  2 Nb 2.02
O (0.5000, 0.5000, 0.0000)  2 Nb 2.29
O (0.5000, 0.0000, 0.9059)  2 Nb 2.02
O (0.5000, 0.5000, 0.2071)  1 Nb 1.81
O (0.0000, 0.5000, 0.6581)  2 Bi 2.26, 2 Pb 2.43
Nb (0.5000, 0.5000, 0.1154)  5 O 1.81-2.02
Nb (0.5000, 0.5000, 0.8846)  5 O 1.81-2.02
Bi (0.5000, 0.5000, 0.3975)  4 O 2.26
Bi (0.0000, 0.0000, 0.0000)  12 O 2.71-2.79
Bi (0.5000, 0.5000, 0.6025)  4 O 2.26
Pb (0.0000, 0.0000, 0.2704)  4 O 2.43
Pb (0.0000, 0.0000, 0.7296)  4 O 2.43
Cl (0.0000, 0.0000, 0.5000)  8 Bi 3.45, 8 O 3.70



# Bi4Cl2O5

An optimized crystal structure of Bi4Cl2O5 (PBE, the Materials Project).

## Properties
Corrected total energy (MP2020 scheme), eV for the cell shown: -732.7
M_tot, μB/f.u.: 0.00
Symmetry: Pnma
Energy of formation, eV per atom: -1.5511

abc: 3.8608 15.4809 41.3068
angles: 90.00 90.00 90.00
Last column: nearest neighbours and their distance in Å.
Positions (direct):
Cl (0.7500, 0.3636, 0.2759)  6 Bi 3.07-3.23, 3 O 3.40-3.42
Cl (0.2500, 0.3746, 0.5536)  6 Bi 3.20, 7 O 3.35-3.54
Cl (0.7500, 0.7554, 0.0298)  6 Bi 3.09-3.25, 5 O 3.34-3.36
Cl (0.2500, 0.2554, 0.4702)  6 Bi 3.09-3.25, 5 O 3.34-3.36
Cl (0.7500, 0.8617, 0.4451)  4 Bi 3.19-3.34, 5 O 3.40-3.51
Cl (0.2500, 0.8636, 0.2241)  6 Bi 3.07-3.23, 3 O 3.40-3.42
Cl (0.2500, 0.7576, 0.8056)  4 Bi 3.13-3.15, 5 O 3.28-3.39
Cl (0.2500, 0.7424, 0.3056)  4 Bi 3.13-3.15, 5 O 3.28-3.39
Cl (0.2500, 0.9910, 0.3022)  4 Bi 3.08-3.18, 3 O 3.32-3.39
Cl (0.2500, 0.1383, 0.5549)  4 Bi 3.19-3.34, 5 O 3.40-3.51
Cl (0.2500, 0.2446, 0.9702)  6 Bi 3.09-3.25, 5 O 3.34-3.36
Cl (0.2500, 0.1254, 0.0536)  6 Bi 3.20, 7 O 3.35-3.54
Cl (0.7500, 0.1364, 0.7759)  6 Bi 3.07-3.23, 3 O 3.40-3.42
Cl (0.2500, 0.3617, 0.0549)  4 Bi 3.19-3.34, 5 O 3.40-3.51
Cl (0.7500, 0.6383, 0.9451)  4 Bi 3.19-3.34, 5 O 3.40-3.51
Cl (0.7500, 0.7446, 0.5298)  6 Bi 3.09-3.25, 5 O 3.34-3.36
Cl (0.7500, 0.6254, 0.4464)  6 Bi 3.20, 7 O 3.35-3.54
Cl (0.7500, 0.4910, 0.1978)  4 Bi 3.08-3.18, 3 O 3.32-3.39
Cl (0.7500, 0.8746, 0.9464)  6 Bi 3.20, 7 O 3.35-3.54
Cl (0.7500, 0.0090, 0.6978)  4 Bi 3.08-3.18, 3 O 3.32-3.39
Cl (0.2500, 0.5090, 0.8022)  4 Bi 3.08-3.18, 3 O 3.32-3.39
Cl (0.2500, 0.6364, 0.7241)  6 Bi 3.07-3.23, 3 O 3.40-3.42
Cl (0.7500, 0.2424, 0.1944)  4 Bi 3.13-3.15, 5 O 3.28-3.39
Cl (0.7500, 0.2576, 0.6944)  4 Bi 3.13-3.15, 5 O 3.28-3.39
O (0.7500, 0.7047, 0.1905)  4 Bi 2.30-2.43
O (0.2500, 0.3603, 0.3900)  2 Bi 2.16-2.20
O (0.2500, 0.0908, 0.2239)  3 Bi 2.24-2.27
O (0.7500, 0.1100, 0.1245)  3 Bi 2.34-2.38
O (0.2500, 0.1397, 0.8900)  2 Bi 2.16-2.20
O (0.7500, 0.9721, 0.5211)  3 Bi 2.26-2.29
O (0.2500, 0.4092, 0.7239)  3 Bi 2.24-2.27
O (0.7500, 0.1037, 0.4354)  4 Bi 2.29-2.43
O (0.2500, 0.2953, 0.8095)  4 Bi 2.30-2.43
O (0.7500, 0.0900, 0.9385)  3 Bi 2.24-2.27
O (0.2500, 0.5900, 0.5615)  3 Bi 2.24-2.27
O (0.7500, 0.3729, 0.1225)  3 Bi 2.25-2.28
O (0.7500, 0.3963, 0.9354)  4 Bi 2.29-2.43
O (0.2500, 0.7688, 0.1487)  4 Bi 2.30-2.39
O (0.7500, 0.3900, 0.6245)  3 Bi 2.34-2.38
O (0.2500, 0.6100, 0.3755)  3 Bi 2.34-2.38
O (0.7500, 0.2688, 0.3513)  4 Bi 2.30-2.39
O (0.7500, 0.1271, 0.6225)  3 Bi 2.25-2.28
O (0.7500, 0.4100, 0.4385)  3 Bi 2.24-2.27
O (0.2500, 0.0279, 0.4789)  3 Bi 2.26-2.29
O (0.2500, 0.7312, 0.6487)  4 Bi 2.30-2.39
O (0.7500, 0.8327, 0.6100)  3 Bi 2.25-2.34
O (0.7500, 0.6397, 0.6100)  2 Bi 2.16-2.20
O (0.7500, 0.7953, 0.6905)  4 Bi 2.30-2.43
O (0.2500, 0.8963, 0.5646)  4 Bi 2.29-2.43
O (0.2500, 0.6037, 0.0646)  4 Bi 2.29-2.43
O (0.7500, 0.0119, 0.1793)  1 Bi 2.16
O (0.7500, 0.9697, 0.0200)  4 Bi 2.28-2.40
O (0.2500, 0.9881, 0.8207)  1 Bi 2.16
O (0.2500, 0.5172, 0.1263)  1 Bi 2.19
O (0.7500, 0.8603, 0.1100)  2 Bi 2.16-2.20
O (0.2500, 0.5119, 0.3207)  1 Bi 2.16
O (0.7500, 0.0172, 0.3737)  1 Bi 2.19
O (0.2500, 0.9100, 0.0615)  3 Bi 2.24-2.27
O (0.7500, 0.7440, 0.3731)  4 Bi 2.29-2.45
O (0.2500, 0.6454, 0.2323)  4 Bi 2.27-2.49
O (0.2500, 0.8729, 0.3775)  3 Bi 2.25-2.28
O (0.2500, 0.8900, 0.8755)  3 Bi 2.34-2.38
O (0.2500, 0.2047, 0.3095)  4 Bi 2.30-2.43
O (0.2500, 0.1673, 0.3900)  3 Bi 2.25-2.34
O (0.2500, 0.3327, 0.8900)  3 Bi 2.25-2.34
O (0.2500, 0.4721, 0.9789)  3 Bi 2.26-2.29
O (0.7500, 0.5279, 0.0211)  3 Bi 2.26-2.29
O (0.7500, 0.3546, 0.7677)  4 Bi 2.27-2.49
O (0.7500, 0.1454, 0.2677)  4 Bi 2.27-2.49
O (0.2500, 0.8546, 0.7323)  4 Bi 2.27-2.49
O (0.2500, 0.2560, 0.6269)  4 Bi 2.29-2.45
O (0.7500, 0.4828, 0.8737)  1 Bi 2.19
O (0.7500, 0.5303, 0.5200)  4 Bi 2.28-2.40
O (0.7500, 0.9092, 0.7761)  3 Bi 2.24-2.27
O (0.2500, 0.0303, 0.9800)  4 Bi 2.28-2.40
O (0.7500, 0.7560, 0.8731)  4 Bi 2.29-2.45
O (0.2500, 0.6271, 0.8775)  3 Bi 2.25-2.28
O (0.7500, 0.2312, 0.8513)  4 Bi 2.30-2.39
O (0.7500, 0.5908, 0.2761)  3 Bi 2.24-2.27
O (0.7500, 0.6673, 0.1100)  3 Bi 2.25-2.34
O (0.7500, 0.4881, 0.6793)  1 Bi 2.16
O (0.2500, 0.4697, 0.4800)  4 Bi 2.28-2.40
O (0.2500, 0.2440, 0.1269)  4 Bi 2.29-2.45
O (0.2500, 0.9828, 0.6263)  1 Bi 2.19
Bi (0.7500, 0.2383, 0.4080)  4 O 2.34-2.39
Bi (0.2500, 0.5162, 0.2683)  3 O 2.16-2.27
Bi (0.2500, 0.7423, 0.4030)  4 O 2.28-2.34
Bi (0.7500, 0.9665, 0.5887)  5 O 2.25-2.49
Bi (0.2500, 0.7383, 0.0920)  4 O 2.34-2.39
Bi (0.7500, 0.7125, 0.2469)  4 O 2.24-2.33
Bi (0.7500, 0.5335, 0.0887)  5 O 2.25-2.49
Bi (0.2500, 0.3419, 0.3382)  3 O 2.16-2.30
Bi (0.7500, 0.2423, 0.0970)  4 O 2.28-2.34
Bi (0.2500, 0.7577, 0.9030)  4 O 2.28-2.34
Bi (0.7500, 0.2617, 0.9080)  4 O 2.34-2.39
Bi (0.7500, 0.3990, 0.4925)  4 O 2.24-2.33
Bi (0.7500, 0.0962, 0.4909)  4 O 2.26-2.29
Bi (0.2500, 0.2875, 0.7531)  4 O 2.24-2.33
Bi (0.7500, 0.5264, 0.5781)  4 O 2.20-2.40
Bi (0.2500, 0.6010, 0.5075)  4 O 2.24-2.33
Bi (0.7500, 0.8861, 0.8417)  5 O 2.38-2.64
Bi (0.2500, 0.9038, 0.5091)  4 O 2.26-2.29
Bi (0.2500, 0.5962, 0.0091)  4 O 2.26-2.29
Bi (0.7500, 0.4038, 0.9909)  4 O 2.26-2.29
Bi (0.7500, 0.1010, 0.9925)  4 O 2.24-2.33
Bi (0.2500, 0.8990, 0.0075)  4 O 2.24-2.33
Bi (0.7500, 0.1345, 0.3245)  4 O 2.30-2.36
Bi (0.2500, 0.3861, 0.6583)  5 O 2.38-2.64
Bi (0.2500, 0.1098, 0.6497)  4 O 2.19-2.45
Bi (0.2500, 0.3902, 0.1497)  4 O 2.19-2.45
Bi (0.2500, 0.9838, 0.7683)  3 O 2.16-2.27
Bi (0.2500, 0.8655, 0.6755)  4 O 2.30-2.36
Bi (0.7500, 0.2577, 0.5970)  4 O 2.28-2.34
Bi (0.2500, 0.6345, 0.1755)  4 O 2.30-2.36
Bi (0.2500, 0.0264, 0.9219)  4 O 2.20-2.40
Bi (0.7500, 0.7875, 0.7469)  4 O 2.24-2.33
Bi (0.2500, 0.4665, 0.9113)  5 O 2.25-2.49
Bi (0.7500, 0.6581, 0.6618)  3 O 2.16-2.30
Bi (0.7500, 0.6139, 0.3417)  5 O 2.38-2.64
Bi (0.7500, 0.6098, 0.8503)  4 O 2.19-2.45
Bi (0.7500, 0.0162, 0.2317)  3 O 2.16-2.27
Bi (0.7500, 0.4838, 0.7317)  3 O 2.16-2.27
Bi (0.2500, 0.0335, 0.4113)  5 O 2.25-2.49
Bi (0.2500, 0.1139, 0.1583)  5 O 2.38-2.64
Bi (0.7500, 0.8419, 0.1618)  3 O 2.16-2.30
Bi (0.7500, 0.3655, 0.8245)  4 O 2.30-2.36
Bi (0.7500, 0.8902, 0.3503)  4 O 2.19-2.45
Bi (0.2500, 0.4736, 0.4219)  4 O 2.20-2.40
Bi (0.7500, 0.9736, 0.0781)  4 O 2.20-2.40
Bi (0.2500, 0.2125, 0.2531)  4 O 2.24-2.33
Bi (0.2500, 0.1581, 0.8382)  3 O 2.16-2.30
Bi (0.2500, 0.7617, 0.5920)  4 O 2.34-2.39